Record 1
First-principles (PBE) data for crystalline Ca2Zn3Si3PbO12 at its relaxed geometry, as listed in Materials Project.

Lattice parameters (Å, degrees): 8.3805 8.9091 17.8391 60.09 90.00 90.00
Last column: nearest neighbours and their distance in Å.
Positions (direct):
O  0.2371  0.8604  0.2052  1 Si 1.66
Ca  0.0380  0.6721  0.0885  5 O 2.33-2.45
Ca  0.4609  0.6641  0.0743  5 O 2.32-2.56
Si  0.2283  0.6456  0.2653  4 O 1.65-1.66
O  0.7545  0.4693  0.4652  1 Si 1.65
Pb  0.5534  0.0051  0.2492  3 O 2.33-2.34
Pb  0.4466  0.9949  0.7508  3 O 2.33-2.34
O  0.7581  0.1047  0.9830  1 Si 1.66
O  0.1363  0.2354  0.5413  1 Si 1.65
Ca  0.9620  0.3279  0.9115  5 O 2.33-2.45
Si  0.7706  0.9728  0.5878  4 O 1.65-1.66
O  0.7299  0.7718  0.3184  1 Si 1.66
Zn  0.8395  0.3239  0.0838  4 O 1.97-2.01
O  0.2501  0.5709  0.1977  1 Si 1.65
O  0.7371  0.1396  0.2948  1 Si 1.66
O  0.4493  0.2807  0.5464  1 Si 1.65
O  0.2499  0.5709  0.6977  1 Si 1.65
O  0.0507  0.2807  0.0464  1 Si 1.65
Si  0.7257  0.6791  0.4255  4 O 1.65-1.66
Pb  0.9466  0.0051  0.7492  3 O 2.33-2.34
Si  0.7743  0.6791  0.9255  4 O 1.65-1.66
O  0.6363  0.7646  0.9587  1 Si 1.65
Ca  0.5380  0.3279  0.4115  5 O 2.33-2.45
Zn  0.3395  0.6761  0.4162  4 O 1.97-2.01
O  0.2581  0.8953  0.5170  1 Si 1.66
O  0.4453  0.1239  0.8939  1 Si 1.65
O  0.7305  0.0961  0.1337  1 Si 1.66
Ca  0.0391  0.6641  0.5743  5 O 2.32-2.56
O  0.7499  0.4291  0.8023  1 Si 1.65
Zn  0.1611  0.9841  0.5902  4 O 1.97-2.01
O  0.2629  0.8604  0.7052  1 Si 1.66
Zn  0.1605  0.6761  0.9162  4 O 1.97-2.01
Si  0.7717  0.3544  0.7347  4 O 1.65-1.66
O  0.2455  0.5307  0.5348  1 Si 1.65
O  0.7419  0.1047  0.4830  1 Si 1.66
O  0.7455  0.4693  0.9652  1 Si 1.65
O  0.9482  0.4017  0.6876  1 Si 1.65
O  0.2701  0.2282  0.6816  1 Si 1.66
O  0.3637  0.2354  0.0413  1 Si 1.65
O  0.5518  0.4017  0.1876  1 Si 1.65
O  0.6324  0.8215  0.6318  1 Si 1.65
Si  0.7283  0.3544  0.2347  4 O 1.65-1.66
Zn  0.6611  0.0159  0.9098  4 O 1.97-2.01
O  0.2545  0.5307  0.0348  1 Si 1.65
Si  0.2743  0.3209  0.5745  4 O 1.65-1.66
Zn  0.8353  0.6673  0.2564  4 O 1.96-2.01
O  0.3676  0.1785  0.3682  1 Si 1.65
O  0.7501  0.4291  0.3023  1 Si 1.65
O  0.4482  0.5983  0.8124  1 Si 1.65
O  0.7629  0.1396  0.7948  1 Si 1.66
O  0.9453  0.8761  0.6061  1 Si 1.65
O  0.3648  0.5722  0.3420  1 Si 1.65
O  0.2419  0.8953  0.0170  1 Si 1.66
Zn  0.3389  0.9841  0.0902  4 O 1.97-2.01
Zn  0.3353  0.3327  0.2436  4 O 1.96-2.01
O  0.8648  0.4278  0.1580  1 Si 1.65
O  0.7701  0.7718  0.8184  1 Si 1.66
O  0.5507  0.7193  0.4536  1 Si 1.65
Ca  0.4620  0.6721  0.5885  5 O 2.33-2.45
Si  0.2294  0.0272  0.4122  4 O 1.65-1.66
Si  0.2706  0.0272  0.9122  4 O 1.65-1.66
Ca  0.5391  0.3359  0.9257  5 O 2.32-2.56
O  0.8676  0.8215  0.1318  1 Si 1.65
Zn  0.1647  0.3327  0.7436  4 O 1.96-2.01
Zn  0.6647  0.6673  0.7564  4 O 1.96-2.01
O  0.2299  0.2282  0.1816  1 Si 1.66
Si  0.7294  0.9728  0.0878  4 O 1.65-1.66
O  0.0518  0.5983  0.3124  1 Si 1.65
O  0.2695  0.9039  0.8663  1 Si 1.66
O  0.7695  0.0961  0.6337  1 Si 1.66
Zn  0.8389  0.0159  0.4098  4 O 1.97-2.01
O  0.1324  0.1785  0.8682  1 Si 1.65
O  0.1352  0.5722  0.8420  1 Si 1.65
Ca  0.9609  0.3359  0.4257  5 O 2.32-2.56
Si  0.2717  0.6456  0.7653  4 O 1.65-1.66
O  0.2305  0.9039  0.3663  1 Si 1.66
O  0.6352  0.4278  0.6580  1 Si 1.65
O  0.9493  0.7193  0.9536  1 Si 1.65
O  0.8637  0.7646  0.4587  1 Si 1.65
Zn  0.6605  0.3239  0.5838  4 O 1.97-2.01
Si  0.2257  0.3209  0.0745  4 O 1.65-1.66
Pb  0.0534  0.9949  0.2508  3 O 2.33-2.34
O  0.0547  0.1239  0.3939  1 Si 1.65
O  0.5547  0.8761  0.1061  1 Si 1.65

---

Record 2
First-principles (PBE) data for crystalline Ca3Ti4PbO12 at its relaxed geometry, as listed in Materials Project.

Lattice parameters (Å, degrees): 7.7888 5.4780 5.5298 89.79 90.00 90.00
Last column: nearest neighbours and their distance in Å.
Positions (direct):
O  0.2686  0.7160  0.7874  2 Ti 1.95-2.03
Ti  0.7531  0.5013  0.4915  6 O 1.95-2.03
O  0.0000  0.9284  0.0285  2 Ti 1.96
Ti  0.2455  0.9995  0.9970  6 O 1.95-2.03
Ca  0.0000  0.4958  0.9560  8 O 2.40-2.63
O  0.5000  0.0465  0.9775  2 Ti 2.00
O  0.0000  0.5669  0.5113  2 Ti 1.96
O  0.5000  0.4320  0.5018  2 Ti 2.01
O  0.7314  0.7160  0.7874  2 Ti 1.95-2.03
Ca  0.0000  0.0015  0.4664  8 O 2.39-2.66
O  0.2102  0.2114  0.7156  2 Ti 1.96-2.03
Ti  0.7545  0.9995  0.9970  6 O 1.95-2.03
O  0.7172  0.7963  0.2997  2 Ti 1.95-2.03
Pb  0.5000  0.5042  0.0134  6 O 2.48-2.77
O  0.7897  0.2896  0.2143  2 Ti 1.95-2.01
Ca  0.5000  0.9965  0.5341  4 O 2.39-2.47
Ti  0.2469  0.5013  0.4915  6 O 1.95-2.03
O  0.7898  0.2114  0.7156  2 Ti 1.96-2.03
O  0.2828  0.7963  0.2997  2 Ti 1.95-2.03
O  0.2103  0.2896  0.2143  2 Ti 1.95-2.01

---

Record 3
First-principles (PBE) data for crystalline CaZr4Pb3O12 at its relaxed geometry, as listed in Materials Project.

Lattice parameters (Å, degrees): 8.3554 8.3518 8.3798 90.73 89.25 90.79
Last column: nearest neighbours and their distance in Å.
Positions (direct):
Zr  0.7447  0.7486  0.2470  6 O 2.06-2.21
Zr  0.2462  0.7496  0.7480  6 O 2.06-2.21
Zr  0.2501  0.2537  0.7546  6 O 2.08-2.23
O  0.1994  0.7380  0.9907  2 Zr 2.07-2.20
O  0.4935  0.2355  0.6989  2 Zr 2.09-2.21
O  0.7646  0.7966  0.9887  2 Zr 2.07-2.21
O  0.2012  0.0086  0.7608  2 Zr 2.08-2.20
O  0.4937  0.3036  0.2629  2 Zr 2.07-2.18
Zr  0.2503  0.2549  0.2514  6 O 2.07-2.23
O  0.2790  0.3147  0.9944  2 Zr 2.08-2.23
Pb  0.0131  0.4854  0.0189  6 O 2.56-2.66
Ca  0.5301  0.4721  0.0239  6 O 2.44-2.48
O  0.2019  0.2400  0.4939  2 Zr 2.07-2.23
O  0.9910  0.7177  0.6894  2 Zr 2.08-2.21
Ca  0.0292  0.4718  0.5258  6 O 2.44-2.48
O  0.2642  0.5078  0.6991  2 Zr 2.06-2.18
O  0.2640  0.0095  0.2057  2 Zr 2.08-2.22
O  0.7625  0.5066  0.1957  2 Zr 2.07-2.18
Pb  0.5131  0.9828  0.5251  6 O 2.50-2.71
Pb  0.5184  0.9851  0.0179  6 O 2.52-2.68
Pb  0.0221  0.9827  0.5136  6 O 2.54-2.68
O  0.7654  0.0079  0.7028  2 Zr 2.08-2.21
Zr  0.7507  0.7472  0.7468  6 O 2.07-2.22
Pb  0.5160  0.4833  0.5208  6 O 2.57-2.63
O  0.9942  0.3038  0.7639  2 Zr 2.07-2.18
O  0.9927  0.2367  0.2003  2 Zr 2.08-2.20
O  0.4889  0.7178  0.1880  2 Zr 2.08-2.21
O  0.9891  0.7990  0.2577  2 Zr 2.08-2.22
O  0.4907  0.7979  0.7568  2 Zr 2.08-2.22
O  0.7012  0.2378  0.9924  2 Zr 2.07-2.23
O  0.6874  0.5079  0.7778  2 Zr 2.08-2.22
Zr  0.2491  0.7473  0.2475  6 O 2.07-2.22
Pb  0.0136  0.9815  0.0230  6 O 2.51-2.69
O  0.6969  0.0074  0.2582  2 Zr 2.09-2.20
O  0.1853  0.5095  0.2798  2 Zr 2.07-2.21
O  0.7033  0.7337  0.4895  2 Zr 2.06-2.20
O  0.7781  0.3132  0.4933  2 Zr 2.09-2.23
Zr  0.7515  0.2523  0.7504  6 O 2.07-2.23
O  0.2617  0.7996  0.4896  2 Zr 2.07-2.21
Zr  0.7494  0.2527  0.2530  6 O 2.08-2.23

---

| no. | total energy after the MP2020 corrections (eV per cell) | calculated total energy (eV/atom) | ΔE_f (eV/atom) |
| --- | --- | --- | --- |
| 1 | -582.2 | -6.539 | -2.781 |
| 2 | -167.3 | -7.951 | -3.329 |
| 3 | -335.2 | -7.969 | -3.045 |